Entry 1:
This record from the Materials Project database describes crystalline BaIr2O6 at its relaxed geometry. The functional is meta-GGA r2SCAN.

Values from the calculation:
The calculation puts the total moment at 0.00 μB/atom. The value obtained for the energy is -19.895 eV per atom. Its volume is 15.66 A^3/atom. Its formation enthalpy at 0 K is -1.333 eV per atom. As for the space-group type: R3, No. 146. The value obtained for the density is 7.3 g cm⁻³. The crystal system is trigonal.

extended XYZ file:
```
27
Lattice="6.701 3.869 2.719 -6.701 3.869 2.719 0.000 -7.737 2.719" Properties=species:S:1:pos:R:3 pbc="T T T"
Ba -2.466 1.401 2.719
Ba 0.020 -2.836 2.719
Ba 2.446 1.435 2.719
Ir -4.443 -1.359 3.622
Ir -2.273 -2.508 5.345
Ir 3.399 -3.168 3.622
Ir 1.045 4.528 3.622
Ir -1.036 3.222 5.345
Ir 3.308 -0.714 5.345
O -2.240 -4.048 4.134
O -2.424 -1.379 3.698
O -4.235 -2.425 5.270
O -4.259 0.296 4.647
O -2.386 3.964 4.134
O -0.349 -2.435 5.291
O 1.873 -3.837 4.647
O -1.934 1.520 5.291
O 2.406 -1.409 3.698
O 0.017 2.789 3.698
O -2.366 -0.980 6.516
O 4.626 0.084 4.134
O 4.217 -2.455 5.270
O 2.283 0.915 5.291
O 0.017 4.880 5.270
O 2.031 -1.559 6.516
O 2.386 3.541 4.647
O 0.335 2.539 6.516
```


Entry 2:
This record from the Materials Project database describes crystalline Er2CuIr at its relaxed geometry. The functional is meta-GGA r2SCAN.

Values from the calculation:
The calculation puts the total moment at 0.00 μB/atom. The value obtained for the energy is -33.475 eV per atom. Its volume is 19.41 A^3/atom. Its formation enthalpy at 0 K is -0.710 eV per atom. As for the space-group type: Fm-3m, No. 225. The value obtained for the density is 12.6 g cm⁻³. The crystal system is cubic.

extended XYZ file:
```
4
Lattice="0.000 3.386 3.386 3.386 0.000 3.386 3.386 3.386 0.000" Properties=species:S:1:pos:R:3 pbc="T T T"
Er 1.693 1.693 1.693
Er 5.079 5.079 5.079
Cu 0.000 0.000 0.000
Ir 3.386 3.386 3.386
```


Entry 3:
This record from the Materials Project database describes crystalline Tm2ZnCu at its relaxed geometry. The functional is meta-GGA r2SCAN.

Values from the calculation:
The calculation puts the total moment at 0.00 μB/atom. The value obtained for the energy is -22.842 eV per atom. Its volume is 20.32 A^3/atom. Its formation enthalpy at 0 K is -0.342 eV per atom. As for the space-group type: Fm-3m, No. 225. The value obtained for the density is 9.5 g cm⁻³. The crystal system is cubic.

extended XYZ file:
```
4
Lattice="0.000 3.438 3.438 3.438 0.000 3.438 3.438 3.438 0.000" Properties=species:S:1:pos:R:3 pbc="T T T"
Tm 1.719 1.719 1.719
Tm 5.157 5.157 5.157
Zn 0.000 0.000 0.000
Cu 3.438 3.438 3.438
```